Record 1
This record from the Materials Project database describes crystalline Na3Hf2Sc2P5SO24 at its relaxed geometry. The functional is PBE-GGA.

Summary:
For the total energy after the MP2020 corrections, the calculation gives -900.70 eV per cell. As for the total energy: -0.28182 Ha/atom. Its energy of formation from the pure elements is -3.07 eV per atom.

a b c (Å): 8.850 8.869 23.167
angles (deg): 90.00 90.04 119.87
Fractional coordinates of all 111 atoms:
Na1 0.000 0.000 0.000
Na2 0.000 0.001 0.501
Na3 0.029 0.340 0.920
Na4 0.323 0.662 0.336
Na5 0.327 0.673 0.837
Na6 0.630 0.003 0.752
Na7 0.657 0.329 0.170
Na8 0.661 0.971 0.420
Na9 0.667 0.351 0.669
Hf1 0.002 0.023 0.151
Hf2 0.656 0.337 0.317
Hf3 0.658 0.334 0.022
Hf4 0.659 0.346 0.818
Hf5 0.665 0.342 0.522
Hf6 0.989 0.002 0.651
Sc1 0.317 0.674 0.689
Sc2 0.323 0.678 0.484
Sc3 0.325 0.682 0.984
Sc4 0.328 0.678 0.189
Sc5 0.997 0.002 0.855
Sc6 0.998 0.015 0.356
P1 0.034 0.675 0.586
P2 0.037 0.387 0.086
P3 0.287 0.008 0.753
P4 0.288 0.304 0.254
P5 0.326 0.965 0.088
P6 0.368 0.343 0.921
P7 0.369 0.051 0.421
P8 0.620 0.967 0.587
P9 0.660 0.047 0.918
P10 0.661 0.633 0.420
P11 0.700 0.716 0.753
P12 0.701 0.006 0.255
P13 0.949 0.632 0.921
P14 0.954 0.343 0.419
P15 0.996 0.299 0.755
S1 0.327 0.382 0.587
S2 0.622 0.675 0.087
S3 0.993 0.717 0.253
O1 0.012 0.199 0.093
O2 0.015 0.820 0.305
O3 0.016 0.840 0.593
O4 0.017 0.218 0.811
O5 0.115 0.645 0.640
O6 0.125 0.496 0.139
O7 0.127 0.639 0.925
O8 0.133 0.503 0.425
O9 0.141 0.460 0.029
O10 0.144 0.699 0.532
O11 0.148 0.696 0.248
O12 0.155 0.480 0.747
O13 0.160 0.983 0.095
O14 0.171 0.205 0.593
O15 0.177 0.983 0.807
O16 0.178 0.214 0.307
O17 0.185 0.181 0.916
O18 0.188 0.031 0.415
O19 0.199 0.033 0.699
O20 0.200 0.188 0.200
O21 0.301 0.858 0.033
O22 0.302 0.461 0.535
O23 0.306 0.484 0.246
O24 0.317 0.852 0.747
O25 0.346 0.505 0.926
O26 0.352 0.486 0.639
O27 0.355 0.883 0.141
O28 0.363 0.875 0.425
O29 0.460 0.164 0.474
O30 0.461 0.322 0.974
O31 0.470 0.320 0.259
O32 0.473 0.171 0.759
O33 0.481 0.363 0.867
O34 0.484 0.361 0.581
O35 0.486 0.140 0.367
O36 0.487 0.151 0.080
O37 0.499 0.655 0.425
O38 0.499 0.869 0.925
O39 0.515 0.884 0.642
O40 0.516 0.649 0.139
O41 0.519 0.847 0.247
O42 0.521 0.701 0.745
O43 0.539 0.860 0.531
O44 0.544 0.702 0.035
O45 0.638 0.135 0.863
O46 0.639 0.151 0.580
O47 0.640 0.520 0.366
O48 0.642 0.518 0.080
O49 0.682 0.541 0.473
O50 0.685 0.167 0.971
O51 0.685 0.535 0.759
O52 0.688 0.175 0.259
O53 0.783 0.984 0.310
O54 0.785 0.831 0.806
O55 0.799 0.830 0.094
O56 0.807 0.992 0.593
O57 0.816 0.803 0.699
O58 0.818 0.027 0.202
O59 0.822 0.816 0.415
O60 0.824 0.309 0.759
O61 0.831 0.042 0.915
O62 0.834 0.542 0.258
O63 0.836 0.315 0.473
O64 0.837 0.539 0.975
O65 0.849 0.514 0.580
O66 0.851 0.363 0.080
O67 0.861 0.516 0.867
O68 0.862 0.365 0.365
O69 0.959 0.172 0.415
O70 0.965 0.179 0.702
O71 0.968 0.811 0.916
O72 0.970 0.801 0.201

***

Record 2
This record from the Materials Project database describes crystalline NaHf2Sn2P5SO24 at its relaxed geometry. The functional is PBE-GGA.

Summary:
For the total energy after the MP2020 corrections, the calculation gives -828.20 eV per cell. As for the total energy: -0.27255 Ha/atom. Its energy of formation from the pure elements is -2.77 eV per atom.

a b c (Å): 8.794 8.804 22.945
angles (deg): 89.73 89.90 60.08
Fractional coordinates of all 105 atoms:
Na1 0.000 0.000 0.000
Na2 0.003 0.000 0.502
Na3 0.670 0.667 0.666
Hf1 0.004 0.999 0.647
Hf2 0.336 0.333 0.478
Hf3 0.337 0.334 0.689
Hf4 0.671 0.666 0.521
Hf5 0.677 0.657 0.812
Hf6 0.997 0.999 0.852
Sn1 0.009 0.001 0.355
Sn2 0.010 0.998 0.146
Sn3 0.337 0.326 0.185
Sn4 0.337 0.339 0.980
Sn5 0.664 0.672 0.316
Sn6 0.676 0.661 0.022
P1 0.006 0.287 0.750
P2 0.048 0.333 0.083
P3 0.049 0.621 0.584
P4 0.294 0.709 0.751
P5 0.296 0.999 0.250
P6 0.337 0.045 0.584
P7 0.339 0.621 0.084
P8 0.380 0.666 0.417
P9 0.625 0.332 0.584
P10 0.627 0.041 0.083
P11 0.669 0.376 0.918
P12 0.672 0.957 0.416
P13 0.712 0.999 0.750
P14 0.958 0.378 0.416
P15 0.961 0.664 0.918
S1 0.004 0.707 0.250
S2 0.381 0.957 0.918
S3 0.712 0.292 0.250
O1 0.027 0.806 0.590
O2 0.028 0.168 0.090
O3 0.032 0.176 0.805
O4 0.036 0.786 0.303
O5 0.124 0.368 0.139
O6 0.130 0.509 0.638
O7 0.138 0.357 0.425
O8 0.142 0.499 0.925
O9 0.161 0.539 0.529
O10 0.163 0.534 0.243
O11 0.164 0.294 0.029
O12 0.164 0.308 0.742
O13 0.171 0.805 0.090
O14 0.174 0.023 0.590
O15 0.177 0.035 0.304
O16 0.180 0.796 0.805
O17 0.196 0.832 0.410
O18 0.205 0.976 0.911
O19 0.210 0.826 0.696
O20 0.213 0.964 0.196
O21 0.299 0.546 0.030
O22 0.308 0.156 0.529
O23 0.312 0.164 0.242
O24 0.313 0.530 0.742
O25 0.360 0.506 0.425
O26 0.364 0.132 0.925
O27 0.367 0.127 0.638
O28 0.370 0.510 0.140
O29 0.456 0.847 0.971
O30 0.463 0.701 0.470
O31 0.476 0.692 0.759
O32 0.478 0.835 0.258
O33 0.489 0.877 0.866
O34 0.490 0.631 0.361
O35 0.499 0.644 0.076
O36 0.500 0.860 0.577
O37 0.506 0.356 0.925
O38 0.512 0.136 0.425
O39 0.514 0.362 0.638
O40 0.518 0.119 0.139
O41 0.533 0.160 0.742
O42 0.536 0.309 0.243
O43 0.542 0.304 0.529
O44 0.549 0.158 0.029
O45 0.639 0.491 0.864
O46 0.639 0.880 0.360
O47 0.645 0.861 0.075
O48 0.647 0.496 0.576
O49 0.693 0.836 0.759
O50 0.696 0.465 0.258
O51 0.704 0.457 0.973
O52 0.706 0.839 0.470
O53 0.789 0.179 0.303
O54 0.798 0.028 0.805
O55 0.810 0.170 0.590
O56 0.812 0.024 0.091
O57 0.822 0.213 0.197
O58 0.830 0.966 0.696
O59 0.834 0.194 0.911
O60 0.840 0.471 0.757
O61 0.840 0.974 0.409
O62 0.842 0.460 0.470
O63 0.844 0.703 0.973
O64 0.846 0.689 0.258
O65 0.864 0.642 0.577
O66 0.867 0.495 0.077
O67 0.874 0.638 0.864
O68 0.879 0.489 0.359
O69 0.969 0.819 0.198
O70 0.970 0.205 0.696
O71 0.975 0.194 0.410
O72 0.982 0.827 0.911

***

Record 3
This record from the Materials Project database describes crystalline Na3Y2Hf2P5SO24 at its relaxed geometry. The functional is PBE-GGA.

Summary:
For the total energy after the MP2020 corrections, the calculation gives -903.11 eV per cell. As for the total energy: -0.28262 Ha/atom. Its energy of formation from the pure elements is -3.09 eV per atom.

a b c (Å): 9.038 9.048 23.506
angles (deg): 89.95 89.92 60.28
Fractional coordinates of all 111 atoms:
Na1 0.000 0.000 0.000
Na2 0.002 0.988 0.500
Na3 0.306 0.658 0.584
Na4 0.332 0.333 0.166
Na5 0.337 0.693 0.916
Na6 0.343 0.312 0.667
Na7 0.674 0.662 0.833
Na8 0.677 0.661 0.333
Na9 0.707 0.322 0.416
Y1 0.003 0.984 0.150
Y2 0.004 0.978 0.351
Y3 0.672 0.663 0.479
Y4 0.677 0.649 0.979
Y5 0.992 0.990 0.651
Y6 0.996 0.988 0.851
Hf1 0.331 0.324 0.019
Hf2 0.332 0.328 0.314
Hf3 0.333 0.316 0.519
Hf4 0.342 0.318 0.814
Hf5 0.665 0.661 0.682
Hf6 0.677 0.637 0.183
P1 0.000 0.683 0.249
P2 0.051 0.318 0.416
P3 0.054 0.603 0.915
P4 0.308 0.683 0.749
P5 0.334 0.606 0.418
P6 0.335 0.037 0.917
P7 0.377 0.949 0.583
P8 0.378 0.649 0.081
P9 0.617 0.040 0.415
P10 0.621 0.318 0.917
P11 0.666 0.364 0.581
P12 0.697 0.986 0.750
P13 0.700 0.288 0.251
P14 0.968 0.359 0.082
P15 0.968 0.648 0.583
S1 0.001 0.293 0.749
S2 0.310 0.985 0.249
S3 0.662 0.950 0.083
O1 0.002 0.798 0.590
O2 0.030 0.159 0.413
O3 0.033 0.187 0.699
O4 0.037 0.761 0.197
O5 0.050 0.776 0.913
O6 0.144 0.331 0.362
O7 0.146 0.347 0.077
O8 0.147 0.497 0.862
O9 0.148 0.484 0.578
O10 0.154 0.314 0.757
O11 0.156 0.306 0.470
O12 0.157 0.502 0.258
O13 0.161 0.513 0.969
O14 0.176 0.015 0.913
O15 0.177 0.783 0.414
O16 0.199 0.762 0.696
O17 0.200 0.803 0.089
O18 0.202 0.017 0.199
O19 0.202 0.965 0.591
O20 0.230 0.793 0.803
O21 0.234 0.954 0.300
O22 0.320 0.516 0.473
O23 0.321 0.143 0.970
O24 0.328 0.503 0.758
O25 0.330 0.138 0.257
O26 0.348 0.129 0.863
O27 0.350 0.496 0.365
O28 0.363 0.127 0.577
O29 0.367 0.482 0.077
O30 0.455 0.674 0.026
O31 0.455 0.839 0.530
O32 0.481 0.834 0.240
O33 0.490 0.659 0.740
O34 0.493 0.857 0.919
O35 0.493 0.859 0.636
O36 0.495 0.357 0.577
O37 0.496 0.630 0.133
O38 0.503 0.610 0.419
O39 0.505 0.121 0.079
O40 0.511 0.134 0.362
O41 0.513 0.336 0.864
O42 0.515 0.142 0.759
O43 0.518 0.313 0.259
O44 0.526 0.147 0.469
O45 0.527 0.305 0.971
O46 0.625 0.487 0.919
O47 0.636 0.863 0.416
O48 0.639 0.485 0.632
O49 0.642 0.863 0.134
O50 0.677 0.471 0.240
O51 0.679 0.825 0.740
O52 0.686 0.851 0.032
O53 0.687 0.441 0.525
O54 0.772 0.024 0.697
O55 0.784 0.175 0.199
O56 0.791 0.035 0.413
O57 0.798 0.162 0.914
O58 0.806 0.217 0.305
O59 0.808 0.955 0.802
O60 0.812 0.974 0.089
O61 0.818 0.186 0.589
O62 0.839 0.665 0.238
O63 0.849 0.465 0.741
O64 0.863 0.443 0.029
O65 0.864 0.675 0.530
O66 0.871 0.476 0.417
O67 0.875 0.475 0.135
O68 0.875 0.628 0.636
O69 0.876 0.624 0.917
O70 0.969 0.793 0.302
O71 0.971 0.217 0.800
O72 0.990 0.182 0.090

***

Record 4
This record from the Materials Project database describes crystalline Na2Hf3ZnP4S2O24 at its relaxed geometry. The functional is PBE-GGA.

Summary:
For the total energy after the MP2020 corrections, the calculation gives -855.20 eV per cell. As for the total energy: -0.27417 Ha/atom. Its energy of formation from the pure elements is -2.85 eV per atom.

a b c (Å): 8.807 8.810 23.169
angles (deg): 89.86 89.98 60.06
Fractional coordinates of all 108 atoms:
Na1 0.000 0.000 0.000
Na2 0.004 0.001 0.497
Na3 0.330 0.334 0.339
Na4 0.336 0.339 0.833
Na5 0.666 0.671 0.666
Na6 0.671 0.671 0.171
Hf1 0.326 0.338 0.485
Hf2 0.331 0.334 0.190
Hf3 0.338 0.340 0.984
Hf4 0.657 0.679 0.817
Hf5 0.660 0.681 0.024
Hf6 0.663 0.681 0.523
Hf7 0.674 0.678 0.318
Hf8 0.991 0.012 0.151
Hf9 0.999 0.005 0.646
Zn1 0.332 0.340 0.680
Zn2 0.999 0.008 0.356
Zn3 0.999 0.995 0.856
P1 0.041 0.343 0.589
P2 0.043 0.629 0.087
P3 0.329 0.051 0.086
P4 0.335 0.625 0.588
P5 0.369 0.964 0.419
P6 0.370 0.678 0.920
P7 0.617 0.053 0.589
P8 0.621 0.341 0.087
P9 0.669 0.965 0.920
P10 0.711 0.008 0.255
P11 0.959 0.678 0.420
P12 0.997 0.294 0.256
S1 0.003 0.711 0.755
S2 0.284 0.012 0.755
S3 0.289 0.715 0.254
S4 0.666 0.381 0.420
S5 0.707 0.294 0.755
S6 0.955 0.380 0.920
O1 0.022 0.176 0.595
O2 0.024 0.812 0.094
O3 0.025 0.794 0.806
O4 0.032 0.183 0.309
O5 0.115 0.374 0.643
O6 0.128 0.516 0.141
O7 0.130 0.368 0.926
O8 0.140 0.507 0.427
O9 0.155 0.309 0.534
O10 0.155 0.536 0.748
O11 0.156 0.542 0.032
O12 0.157 0.321 0.245
O13 0.168 0.028 0.094
O14 0.169 0.812 0.595
O15 0.183 0.031 0.807
O16 0.185 0.788 0.306
O17 0.189 0.983 0.415
O18 0.192 0.840 0.914
O19 0.206 0.979 0.702
O20 0.209 0.822 0.201
O21 0.303 0.163 0.032
O22 0.303 0.544 0.533
O23 0.311 0.537 0.245
O24 0.312 0.162 0.748
O25 0.357 0.509 0.926
O26 0.360 0.134 0.140
O27 0.361 0.144 0.427
O28 0.366 0.522 0.643
O29 0.463 0.850 0.473
O30 0.465 0.695 0.973
O31 0.465 0.846 0.760
O32 0.468 0.694 0.259
O33 0.489 0.874 0.366
O34 0.490 0.644 0.866
O35 0.495 0.652 0.578
O36 0.495 0.868 0.080
O37 0.498 0.144 0.927
O38 0.504 0.368 0.426
O39 0.509 0.369 0.141
O40 0.514 0.123 0.643
O41 0.525 0.169 0.245
O42 0.531 0.319 0.748
O43 0.538 0.164 0.533
O44 0.538 0.311 0.033
O45 0.638 0.491 0.368
O46 0.640 0.874 0.866
O47 0.644 0.502 0.079
O48 0.645 0.865 0.580
O49 0.686 0.843 0.259
O50 0.687 0.468 0.472
O51 0.691 0.850 0.973
O52 0.694 0.473 0.761
O53 0.789 0.037 0.309
O54 0.791 0.191 0.807
O55 0.804 0.176 0.093
O56 0.805 0.030 0.595
O57 0.818 0.214 0.702
O58 0.821 0.209 0.415
O59 0.822 0.977 0.200
O60 0.829 0.985 0.914
O61 0.831 0.480 0.260
O62 0.838 0.697 0.761
O63 0.845 0.694 0.474
O64 0.848 0.466 0.972
O65 0.855 0.500 0.578
O66 0.860 0.647 0.079
O67 0.873 0.493 0.868
O68 0.873 0.643 0.367
O69 0.971 0.824 0.702
O70 0.973 0.208 0.914
O71 0.973 0.210 0.200
O72 0.974 0.840 0.414